1.
AlO | GGA-PBE | relaxed

abc: 3.165 3.165 3.165
angles: 60.00 60.00 60.00
Element x y z (fractional)
Al  0.000  0.000  0.000
O  0.500  0.500  0.500

Properties
Volume = 11.2 Å³ per atom
Space-group type = Fm-3m (225)

***

2.
SrRu7N10 | GGA-PBE | relaxed

abc: 7.399 6.944 10.473
angles: 90.00 104.47 90.00
Element x y z (fractional)
Ru  0.353  0.971  0.541
N  0.314  0.482  0.224
N  0.767  0.834  0.821
N  0.767  0.166  0.321
N  0.314  0.518  0.724
Ru  0.487  0.362  0.664
N  0.480  0.094  0.703
N  0.581  0.134  0.991
N  0.272  0.901  0.872
Ru  0.353  0.029  0.041
N  0.070  0.499  0.911
Ru  0.857  0.600  0.783
N  0.480  0.906  0.203
Ru  0.147  0.367  0.075
Sr  0.853  0.934  0.148
N  0.692  0.412  0.819
N  0.124  0.902  0.576
Ru  0.147  0.633  0.575
Sr  0.853  0.066  0.648
N  0.272  0.099  0.372
Ru  0.857  0.400  0.283
N  0.563  0.330  0.494
Ru  0.288  0.628  0.887
N  0.692  0.588  0.319
Ru  0.654  0.400  0.995
Ru  0.542  0.926  0.857
N  0.898  0.578  0.607
N  0.581  0.866  0.491
N  0.070  0.501  0.411
N  0.563  0.670  0.994
N  0.124  0.098  0.076
Ru  0.542  0.074  0.357
Ru  0.288  0.372  0.387
N  0.898  0.422  0.107
Ru  0.654  0.600  0.495
Ru  0.487  0.638  0.164

Properties
Volume = 14.5 Å³ per atom
Space-group type = Pc (7)

***

no.,formation enthalpy at 0 K (eV/atom)
1,-1.552
2,0.105